K2MgH8S2O12 | r2SCAN | relaxed

Results
- Magnetic moment: 0.0 μB per cell
- E: -1375.41 eV for the cell shown
- Energy of formation from the pure elements: -1614 meV/atom

Unit cell a=21.9135 b=9.4265 c=11.7486 alpha=90.00 beta=116.86 gamma=90.00
With the nearest neighbours (Å) after each atom.
Space group C2/c (No. 15)
Asymmetric unit:
K 0.1196 0.0179 0.2041 [8 per cell]  6 O 2.66-2.94, 2 H 2.80-2.92
K 0.1290 0.4932 0.2135 [8 per cell]  7 O 2.73-2.96, 1 H 2.83
Mg 0.0000 0.2507 0.7500 [4 per cell]  6 O 2.02-2.09
Mg 0.2500 0.2500 0.5000 [4 per cell]  6 O 2.06-2.09
H 0.0202 0.0308 0.3267 [8 per cell]  1 O 0.99
H 0.0201 0.4688 0.3267 [8 per cell]  1 O 0.98
H 0.1344 0.1156 0.4677 [8 per cell]  1 O 0.99
H 0.1337 0.2742 0.9588 [8 per cell]  1 O 0.98
H 0.1375 0.2412 0.8320 [8 per cell]  1 O 0.98
H 0.1372 0.3890 0.4749 [8 per cell]  1 O 0.99
H 0.1973 0.0147 0.5293 [8 per cell]  1 O 0.99
H 0.1975 0.4985 0.5263 [8 per cell]  1 O 0.98
S 0.0225 0.2535 0.4783 [8 per cell]  4 O 1.46-1.49
S 0.2403 0.2414 0.2026 [8 per cell]  4 O 1.47-1.48
O 0.0000 0.0298 0.7500 [4 per cell]  2 H 0.99
O 0.0000 0.4711 0.7500 [4 per cell]  2 H 0.98
O 0.0277 0.2509 0.6075 [8 per cell]  1 S 1.47
O 0.0485 0.2590 0.1193 [8 per cell]  1 S 1.46
O 0.0562 0.1230 0.4623 [8 per cell]  1 S 1.49, 1 H 1.67
O 0.0600 0.3802 0.4675 [8 per cell]  1 S 1.49, 1 H 1.66
O 0.1054 0.2485 0.8689 [8 per cell]  2 H 0.98
O 0.1780 0.0922 0.4665 [8 per cell]  2 H 0.99
O 0.1814 0.4113 0.4753 [8 per cell]  2 H 0.98-0.99
O 0.1863 0.2273 0.7470 [8 per cell]  1 S 1.47
O 0.1991 0.3403 0.0975 [8 per cell]  1 S 1.48
O 0.2182 0.2586 0.3036 [8 per cell]  1 S 1.48
O 0.2274 0.0939 0.1564 [8 per cell]  1 S 1.47

---

K2MgH8S2O12 | r2SCAN | relaxed

Results
- Magnetic moment: 0.0 μB per cell
- E: -687.70 eV for the cell shown
- Energy of formation from the pure elements: -1614 meV/atom

Unit cell a=9.8209 b=9.4323 c=11.7282 alpha=90.00 beta=95.46 gamma=90.00
With the nearest neighbours (Å) after each atom.
Space group P2_1/c (No. 14)
Asymmetric unit:
K 0.2378 0.2315 0.1643 [4 per cell]  5 O 2.66-2.86, 2 H 2.76-2.96
K 0.2594 0.7449 0.6658 [4 per cell]  8 O 2.76-2.95, 3 H 2.87-3.07
Mg 0.0000 0.0000 0.5000 [2 per cell]  6 O 2.02-2.09
Mg 0.5000 0.0000 0.0000 [2 per cell]  6 O 2.06-2.09
H 0.0343 0.2203 0.9409 [4 per cell]  1 O 0.99
H 0.0463 0.7190 0.4460 [4 per cell]  1 O 0.98
H 0.2658 0.5185 0.9236 [4 per cell]  1 O 0.98
H 0.2707 0.6363 0.4100 [4 per cell]  1 O 0.99
H 0.2723 0.1378 0.9195 [4 per cell]  1 O 0.99
H 0.2749 0.0143 0.5542 [4 per cell]  1 O 0.98
H 0.3910 0.7466 0.4193 [4 per cell]  1 O 0.98
H 0.3981 0.2379 0.9200 [4 per cell]  1 O 0.99
S 0.0450 0.0056 0.7942 [4 per cell]  4 O 1.46-1.49
S 0.4800 0.0072 0.2881 [4 per cell]  4 O 1.47-1.48
O 0.0119 0.7202 0.0052 [4 per cell]  2 H 0.98-0.99
O 0.0566 0.0112 0.6703 [4 per cell]  1 S 1.47
O 0.0971 0.5081 0.6800 [4 per cell]  1 S 1.46
O 0.1132 0.6265 0.3400 [4 per cell]  1 S 1.49
O 0.1186 0.1305 0.8475 [4 per cell]  1 S 1.49, 2 H 1.66-1.67
O 0.2103 0.0107 0.4849 [4 per cell]  2 H 0.98
O 0.3592 0.6588 0.4534 [4 per cell]  2 H 0.98-0.99
O 0.3601 0.1606 0.9640 [4 per cell]  2 H 0.99
O 0.3733 0.0244 0.6877 [4 per cell]  1 S 1.47
O 0.3968 0.5902 0.8527 [4 per cell]  1 S 1.48
O 0.4365 0.5116 0.6648 [4 per cell]  1 S 1.48
O 0.4544 0.1552 0.3200 [4 per cell]  1 S 1.47

---

K2Mn3V2H2O10 | r2SCAN | relaxed

Results
- Magnetic moment: 0.0 μB per cell
- E: -769.50 eV for the cell shown
- Energy of formation from the pure elements: -2183 meV/atom

Unit cell a=15.0917 b=6.0953 c=10.6884 alpha=90.00 beta=105.07 gamma=90.00
With the nearest neighbours (Å) after each atom.
Space group C2 (No. 5)
Asymmetric unit:
K 0.2360 0.0000 0.3983 [4 per cell]  5 O 2.69-2.78, 1 H 2.88
K 0.2373 0.0001 0.8980 [4 per cell]  5 O 2.68-2.79, 1 H 2.89
Mn 0.0000 0.2614 0.0000 [2 per cell]  6 O 2.11-2.19
Mn 0.0000 0.2691 0.5000 [2 per cell]  6 O 2.13-2.17
Mn 0.0000 0.7354 0.5000 [2 per cell]  6 O 2.12-2.18
Mn 0.0000 0.7385 0.0000 [2 per cell]  6 O 2.11-2.19
Mn 0.0007 0.9990 0.7508 [4 per cell]  6 O 2.09-2.20
V 0.1199 0.4990 0.2953 [4 per cell]  4 O 1.70-1.76
V 0.1211 0.5001 0.7959 [4 per cell]  4 O 1.70-1.76
H 0.1398 0.0001 0.6270 [4 per cell]  1 O 0.98
H 0.1409 0.0000 0.1274 [4 per cell]  1 O 0.98
O 0.0727 0.0010 0.6080 [4 per cell]  1 H 0.98
O 0.0737 0.0000 0.1095 [4 per cell]  1 H 0.98
O 0.0818 0.2643 0.3606 [4 per cell]  1 V 1.75
O 0.0828 0.4997 0.1252 [4 per cell]  1 V 1.76
O 0.0828 0.7344 0.3608 [4 per cell]  1 V 1.75
O 0.0840 0.2650 0.8612 [4 per cell]  1 V 1.75
O 0.0841 0.7358 0.8610 [4 per cell]  1 V 1.75
O 0.0847 0.5017 0.6259 [4 per cell]  1 V 1.76
O 0.2368 0.4983 0.3405 [4 per cell]  1 V 1.70, 1 H 1.80
O 0.2380 0.5001 0.8409 [4 per cell]  1 V 1.70, 1 H 1.77

---

K2NaH6N3 | r2SCAN | relaxed

Results
- Magnetic moment: 0.0 μB per cell
- E: -276.06 eV for the cell shown
- Energy of formation from the pure elements: -441 meV/atom

Unit cell a=6.9881 b=6.9881 c=12.3060 alpha=90.00 beta=90.00 gamma=90.00
With the nearest neighbours (Å) after each atom.
Space group P4_2/m (No. 84)
Asymmetric unit:
K 0.0000 0.0000 0.0000 [2 per cell]  12 H 2.81-3.12, 6 N 3.05-3.06
K 0.0000 0.5000 0.1514 [4 per cell]  8 H 2.77-3.02, 6 N 2.88-3.09
K 0.5000 0.5000 0.2500 [2 per cell]  4 N 2.91, 4 H 3.21
Na 0.3268 0.6347 0.5000 [4 per cell]  4 N 2.34-2.51, 4 H 2.57-2.62
H 0.0591 0.6684 0.3520 [8 per cell]  1 N 1.03
H 0.1512 0.8349 0.2802 [8 per cell]  1 N 1.02
H 0.2513 0.2928 0.4349 [8 per cell]  1 N 1.03
N 0.1883 0.7323 0.3358 [8 per cell]  2 H 1.02-1.03
N 0.2752 0.6585 0.0000 [4 per cell]  2 H 1.03

---

K3Na3TeP6H6O24 | r2SCAN | relaxed

Results
- Magnetic moment: 0.0 μB per cell
- E: -1430.53 eV for the cell shown
- Energy of formation from the pure elements: -1986 meV/atom

Unit cell a=18.0127 b=10.8943 c=12.2169 alpha=90.00 beta=118.46 gamma=90.00
With the nearest neighbours (Å) after each atom.
Space group C2/c (No. 15)
Asymmetric unit:
K 0.0000 0.1363 0.2500 [4 per cell]  6 O 2.65-2.77
K 0.2073 0.4391 0.7431 [8 per cell]  7 O 2.72-2.95, 1 H 2.97
Na 0.0000 0.4333 0.7500 [4 per cell]  6 O 2.35-2.62
Na 0.1044 0.1430 0.7547 [8 per cell]  6 O 2.38-2.56
Te 0.2500 0.2500 0.5000 [4 per cell]  4 O 1.81-1.97
P 0.0042 0.3247 0.0185 [8 per cell]  4 O 1.48-1.61
P 0.0882 0.0972 0.0216 [8 per cell]  4 O 1.48-1.63
P 0.1629 0.3265 0.0179 [8 per cell]  4 O 1.48-1.63
H 0.1144 0.3971 0.4271 [8 per cell]  1 O 1.03
H 0.1693 0.1498 0.5904 [8 per cell]  1 O 0.98
H 0.2065 0.4763 0.5021 [8 per cell]  1 O 1.00
O 0.0243 0.3765 0.3946 [8 per cell]  1 P 1.49, 1 H 1.49
O 0.0298 0.1836 0.0578 [8 per cell]  2 P 1.61-1.62
O 0.0464 0.0805 0.8851 [8 per cell]  1 P 1.48
O 0.0500 0.3351 0.6178 [8 per cell]  1 P 1.48
O 0.0960 0.3826 0.0586 [8 per cell]  2 P 1.61-1.63
O 0.1185 0.0072 0.6093 [8 per cell]  1 P 1.48
O 0.1261 0.3304 0.8804 [8 per cell]  1 P 1.48
O 0.1664 0.1566 0.3844 [8 per cell]  1 Te 1.81
O 0.1698 0.1879 0.0647 [8 per cell]  2 P 1.60-1.63
O 0.1749 0.4105 0.4400 [8 per cell]  2 H 1.00-1.03
O 0.2105 0.2168 0.6222 [8 per cell]  1 H 0.98
O 0.2427 0.3942 0.0950 [8 per cell]  1 P 1.49